[1]
! Mg2PH7O8 PBE-GGA relaxed; values from VASP
&SYSTEM
  ibrav = 0, nat = 72, ntyp = 4
/
ATOMIC_SPECIES
Mg 24.30 Mg.upf
P 30.97 P.upf
H 1.01 H.upf
O 16.00 O.upf
ATOMIC_POSITIONS angstrom
Mg -0.200 0.165 1.574
Mg -1.564 6.346 6.671
Mg -1.053 9.263 5.126
Mg 0.310 10.271 0.029
Mg 1.751 2.751 10.164
Mg 3.114 3.760 5.067
Mg 3.624 6.676 3.522
Mg 2.261 12.857 8.619
P 1.188 8.857 2.844
P -0.176 10.676 7.941
P 2.237 2.346 2.252
P 0.873 4.165 7.349
H -1.967 8.863 7.574
H -0.603 10.670 2.477
H -0.919 1.483 4.194
H -2.282 5.028 9.291
H -0.784 2.379 8.545
H 0.579 4.133 3.448
H 0.354 2.228 4.724
H -1.010 4.283 9.821
H -0.528 7.828 8.672
H 0.835 11.706 3.575
H 0.620 7.340 5.427
H 1.984 12.194 0.331
H 0.295 0.059 6.962
H 1.658 6.452 1.865
H 0.403 6.570 8.328
H 1.766 12.963 3.231
H 0.077 0.829 9.862
H 1.440 5.683 4.766
H 1.226 1.317 6.618
H 2.589 5.194 1.521
H 3.070 8.739 0.372
H 1.707 10.794 5.469
H 1.482 8.890 6.745
H 2.845 10.644 1.648
H 4.343 7.995 0.902
H 2.980 11.539 5.999
H 2.664 2.352 7.716
H 4.028 4.159 2.619
O -1.689 1.919 8.516
O -0.325 4.592 3.419
O -0.575 2.009 4.968
O -1.938 4.502 10.065
O 0.370 7.582 2.453
O -0.993 11.951 7.549
O -0.339 7.340 5.291
O 1.024 12.193 0.194
O -1.069 9.682 8.755
O 0.294 9.852 3.658
O 0.996 1.934 1.419
O -0.368 4.577 6.516
O -0.535 6.886 8.378
O 0.828 12.648 3.282
O 1.615 9.574 1.525
O 0.251 9.960 6.621
O 1.809 3.062 3.572
O 0.446 3.449 8.668
O 1.233 0.375 6.911
O 2.596 6.137 1.815
O 2.429 8.446 3.677
O 1.065 11.088 8.774
O 1.767 3.171 6.535
O 3.130 3.340 1.438
O 1.037 0.829 9.999
O 2.400 5.682 4.903
O 3.054 1.071 2.644
O 1.691 5.440 7.740
O 3.999 8.521 0.128
O 2.635 11.013 5.225
O 2.386 8.430 6.774
O 3.749 11.104 1.677
CELL_PARAMETERS angstrom
4.787 0.000 0.000
0.000 13.022 0.000
-2.727 0.000 10.193
! - Space group: P2_1/c (14)
! - MP2020-corrected energy: -0.221 Ha/atom

[2]
! PaTi PBE-GGA relaxed; values from VASP
&SYSTEM
  ibrav = 0, nat = 2, ntyp = 2
/
ATOMIC_SPECIES
Pa 231.04 Pa.upf
Ti 47.87 Ti.upf
ATOMIC_POSITIONS angstrom
Pa 0.000 0.000 0.000
Ti 1.537 0.887 2.567
CELL_PARAMETERS angstrom
3.074 0.000 0.000
-1.537 2.662 0.000
0.000 0.000 5.133
! - DFT total energy: -8.61 eV/atom
! - Space group: P-6m2 (187)